Entry 1:
This record from the Materials Project describes a relaxed Mg6TiMn crystal. The functional is PBE-GGA.

Cell: 4.961 6.110 10.874 Å, 90.00 90.00 90.00°
Fractional positions:
Mg  0.500  0.252  0.418
Mg  0.500  0.748  0.418
Mg  0.000  0.751  0.088
Mg  0.000  0.249  0.088
Mg  0.000  0.000  0.326
Mg  0.000  0.500  0.328
Mg  0.500  0.752  0.918
Mg  0.500  0.248  0.918
Mg  0.000  0.251  0.588
Mg  0.000  0.749  0.588
Mg  0.000  0.500  0.826
Mg  0.000  0.000  0.828
Ti  0.500  0.500  0.168
Ti  0.500  0.000  0.668
Mn  0.500  0.000  0.165
Mn  0.500  0.500  0.665

## Properties
ΔH_f (0 K) (eV/f.u.): 1.56
Size of the total moment (μB per cell): 7.6

Entry 2:
This record from the Materials Project describes a relaxed Mg14MnV crystal. The functional is PBE-GGA.

Cell: 6.301 6.301 10.034 Å, 90.00 90.00 120.00°
Fractional positions:
Mg  0.000  0.000  0.250
Mg  0.000  0.000  0.750
Mg  0.009  0.505  0.250
Mg  0.009  0.505  0.750
Mg  0.335  0.167  0.000
Mg  0.336  0.168  0.500
Mg  0.495  0.505  0.250
Mg  0.495  0.505  0.750
Mg  0.495  0.991  0.250
Mg  0.495  0.991  0.750
Mg  0.832  0.168  0.500
Mg  0.832  0.664  0.500
Mg  0.833  0.167  0.000
Mg  0.833  0.665  0.000
Mn  0.333  0.667  0.000
V  0.333  0.667  0.500

## Properties
ΔH_f (0 K) (eV/f.u.): 2.08
Size of the total moment (μB per cell): 7.4
SG: P-6m2, No. 187

Entry 3:
This record from the Materials Project describes a relaxed Mg14MnV crystal. The functional is PBE-GGA.

Cell: 10.033 6.285 6.285 Å, 60.32 90.00 90.00°
Fractional positions:
Mg  0.000  0.000  0.000
Mg  0.000  0.002  0.501
Mg  0.000  0.500  0.500
Mg  0.000  0.501  0.002
Mg  0.254  0.165  0.165
Mg  0.256  0.664  0.664
Mg  0.261  0.171  0.671
Mg  0.261  0.671  0.171
Mg  0.500  0.003  0.501
Mg  0.500  0.501  0.003
Mg  0.739  0.171  0.671
Mg  0.739  0.671  0.171
Mg  0.744  0.664  0.664
Mg  0.746  0.165  0.165
Mn  0.500  0.499  0.499
V  0.500  0.001  0.001

## Properties
ΔH_f (0 K) (eV/f.u.): 2.12
Size of the total moment (μB per cell): 6.9
SG: Amm2, No. 38

Entry 4:
This record from the Materials Project describes a relaxed YMg6Mn crystal. The functional is PBE-GGA.

Cell: 5.059 6.473 11.259 Å, 90.00 90.00 90.00°
Fractional positions:
Y  0.500  0.500  0.174
Y  0.500  0.000  0.674
Mg  0.000  0.755  0.080
Mg  0.000  0.245  0.080
Mg  0.000  0.000  0.334
Mg  0.500  0.260  0.418
Mg  0.500  0.740  0.418
Mg  0.500  0.000  0.163
Mg  0.000  0.255  0.580
Mg  0.000  0.745  0.580
Mg  0.000  0.500  0.834
Mg  0.500  0.760  0.918
Mg  0.500  0.240  0.918
Mg  0.500  0.500  0.663
Mn  0.000  0.500  0.333
Mn  0.000  0.000  0.833

## Properties
ΔH_f (0 K) (eV/f.u.): 0.81
Size of the total moment (μB per cell): 7.1

Entry 5:
This record from the Materials Project describes a relaxed YMg6Mn crystal. The functional is PBE-GGA.

Cell: 5.099 6.436 11.282 Å, 90.00 90.00 90.00°
Fractional positions:
Y  0.500  0.500  0.167
Y  0.500  0.000  0.667
Mg  0.500  0.255  0.418
Mg  0.500  0.745  0.418
Mg  0.000  0.763  0.085
Mg  0.000  0.237  0.085
Mg  0.000  0.000  0.327
Mg  0.000  0.500  0.336
Mg  0.500  0.755  0.918
Mg  0.500  0.245  0.918
Mg  0.000  0.263  0.585
Mg  0.000  0.737  0.585
Mg  0.000  0.500  0.827
Mg  0.000  0.000  0.836
Mn  0.500  0.000  0.163
Mn  0.500  0.500  0.663

## Properties
ΔH_f (0 K) (eV/f.u.): 0.87
Size of the total moment (μB per cell): 7.4

Entry 6:
This record from the Materials Project describes a relaxed Mg14MnZn crystal. The functional is PBE-GGA.

Cell: 6.259 6.259 10.142 Å, 90.00 90.00 120.00°
Fractional positions:
Mg  0.000  0.000  0.250
Mg  0.000  0.000  0.750
Mg  0.007  0.503  0.250
Mg  0.007  0.503  0.750
Mg  0.332  0.166  0.000
Mg  0.334  0.167  0.500
Mg  0.497  0.503  0.250
Mg  0.497  0.503  0.750
Mg  0.497  0.993  0.250
Mg  0.497  0.993  0.750
Mg  0.833  0.167  0.500
Mg  0.833  0.666  0.500
Mg  0.834  0.166  0.000
Mg  0.834  0.668  0.000
Mn  0.333  0.667  0.500
Zn  0.333  0.667  0.000

## Properties
ΔH_f (0 K) (eV/f.u.): 0.77
Size of the total moment (μB per cell): 4.4
SG: P-6m2, No. 187

Entry 7:
This record from the Materials Project describes a relaxed Mg14MnZn crystal. The functional is PBE-GGA.

Cell: 10.151 6.264 6.264 Å, 59.97 90.00 90.00°
Fractional positions:
Mg  0.000  0.000  0.000
Mg  0.000  0.001  0.501
Mg  0.000  0.500  0.500
Mg  0.000  0.501  0.001
Mg  0.254  0.165  0.165
Mg  0.254  0.665  0.665
Mg  0.260  0.171  0.669
Mg  0.260  0.669  0.171
Mg  0.500  0.501  0.997
Mg  0.500  0.997  0.501
Mg  0.740  0.171  0.669
Mg  0.740  0.669  0.171
Mg  0.746  0.165  0.165
Mg  0.746  0.665  0.665
Mn  0.500  0.503  0.503
Zn  0.500  0.000  0.000

## Properties
ΔH_f (0 K) (eV/f.u.): 0.80
Size of the total moment (μB per cell): 4.4
SG: Amm2, No. 38

Entry 8:
This record from the Materials Project describes a relaxed Mg3Mo crystal. The functional is PBE-GGA.

Cell: 4.201 4.201 4.201 Å, 90.00 90.00 90.00°
Fractional positions:
Mg  0.000  0.000  0.500
Mg  0.000  0.500  0.000
Mg  0.500  0.000  0.000
Mo  0.500  0.500  0.500

## Properties
ΔH_f (0 K) (eV/f.u.): 1.22
Size of the total moment (μB per cell): 0.0
SG: Pm-3m, No. 221